No. 1
Here is an optimized crystal structure of Ni5SnB2O10 from the Materials Project database. Energies are from PBE with a Hubbard U. Values from VASP.

Cell and atoms, written as Quantum ESPRESSO input:
```
&SYSTEM
  ibrav = 0, nat = 72, ntyp = 4
/
ATOMIC_SPECIES
Ni 58.69 Ni.upf
Sn 118.71 Sn.upf
B 10.81 B.upf
O 16.00 O.upf
ATOMIC_POSITIONS angstrom
Ni 1.544 7.135 7.617
Ni 4.632 9.307 0.007
Ni 4.632 6.957 1.416
Ni 3.117 4.730 3.496
Ni 4.632 4.609 6.194
Ni 0.028 4.664 8.905
Ni 6.148 0.033 2.704
Ni 0.028 9.361 9.697
Ni 1.544 2.438 10.985
Ni 3.060 4.664 8.905
Ni 1.544 0.088 12.394
Ni 3.060 9.361 9.697
Ni 6.148 4.730 3.496
Ni 3.088 0.000 6.201
Ni 3.117 0.033 2.704
Ni 4.632 2.260 4.784
Ni 1.544 4.785 6.207
Ni 3.088 4.697 0.000
Ni 0.000 4.697 0.000
Ni 0.000 0.000 6.201
Sn 1.544 6.961 1.443
Sn 1.544 2.264 4.758
Sn 4.632 2.433 10.958
Sn 4.632 7.131 7.643
B 4.632 7.263 4.433
B 1.544 7.311 4.510
B 1.544 2.132 7.968
B 1.544 2.614 1.690
B 1.544 6.829 10.633
B 4.632 6.781 10.711
B 4.632 2.083 7.891
B 4.632 2.565 1.768
O 3.030 3.665 5.227
O 6.175 5.683 1.770
O 4.632 1.177 1.751
O 0.058 8.362 0.974
O 1.544 1.233 1.752
O 1.544 6.109 11.851
O 6.175 0.986 4.431
O 3.146 1.032 11.427
O 4.632 3.286 0.551
O 4.632 7.981 3.253
O 4.632 1.360 9.103
O 6.118 5.729 7.174
O 1.544 3.337 2.903
O 1.544 8.217 10.650
O 3.087 8.408 7.970
O 1.544 3.520 7.952
O 1.544 8.034 3.298
O 4.632 1.379 6.706
O 4.632 6.058 9.499
O 0.001 8.408 7.970
O 4.632 7.983 5.650
O 3.089 0.986 4.431
O 3.030 8.362 0.974
O 3.089 5.683 1.770
O 0.001 3.711 10.632
O 1.544 6.111 9.454
O 3.087 3.711 10.632
O 6.118 1.032 11.427
O 1.544 1.414 9.148
O 4.632 6.076 11.896
O 0.058 3.665 5.227
O 3.146 5.729 7.174
O 4.632 3.464 7.952
O 1.544 1.411 6.751
O 1.544 5.930 4.449
O 4.632 8.161 10.649
O 1.544 8.016 5.696
O 4.632 3.283 2.947
O 1.544 3.319 0.505
O 4.632 5.875 4.450
CELL_PARAMETERS angstrom
6.176 0.000 0.000
0.000 9.394 0.000
0.000 0.000 12.401
```

Results
The calculation puts the formation energy from the elements at -1.86 eV/atom. The calculated total energy is -0.2239 hartree per atom. Its space-group type is No. 62.

=====

No. 2
Here is an optimized crystal structure of TaNi11B4O20 from the Materials Project database. Energies are from PBE with a Hubbard U. Values from VASP.

Cell and atoms, written as Quantum ESPRESSO input:
```
&SYSTEM
  ibrav = 0, nat = 72, ntyp = 4
/
ATOMIC_SPECIES
Ta 180.95 Ta.upf
Ni 58.69 Ni.upf
B 10.81 B.upf
O 16.00 O.upf
ATOMIC_POSITIONS angstrom
Ta 1.332 8.623 16.014
Ta -1.332 6.398 5.338
Ni 1.151 6.853 13.001
Ni -1.151 8.167 8.350
Ni 1.151 10.392 19.026
Ni -1.151 4.629 2.325
Ni 0.000 2.225 10.676
Ni 0.000 0.000 0.000
Ni -1.930 8.623 16.014
Ni 1.930 6.398 5.338
Ni -0.424 11.257 16.019
Ni 0.424 3.763 5.332
Ni -0.424 5.988 16.008
Ni 0.424 9.032 5.344
Ni -0.773 11.049 21.340
Ni 0.773 3.971 0.011
Ni -0.773 6.196 10.687
Ni 0.773 8.824 10.664
Ni 1.548 4.868 10.676
Ni -1.548 2.643 0.000
Ni -0.377 13.029 19.077
Ni 0.377 1.992 2.275
Ni -0.377 4.217 12.950
Ni 0.377 10.804 8.401
B -0.383 9.492 13.455
B 0.383 5.529 7.897
B -0.383 7.754 18.573
B 0.383 7.267 2.779
B -1.945 10.392 18.540
B 1.945 4.629 2.811
B -1.945 6.854 13.487
B 1.945 8.167 7.864
O -1.947 10.393 17.128
O 1.947 4.627 4.224
O -1.947 6.852 14.900
O 1.947 8.169 6.452
O 1.163 6.848 10.968
O -1.163 8.173 10.384
O 1.163 10.397 21.060
O -1.163 4.623 0.292
O -0.885 10.969 19.218
O 0.885 4.052 2.133
O -0.885 6.276 12.809
O 0.885 8.744 8.543
O 0.678 8.329 19.239
O -0.678 6.692 2.113
O 0.678 8.917 12.789
O -0.678 6.104 8.563
O -1.438 10.091 12.817
O 1.438 4.930 8.535
O -1.438 7.154 19.211
O 1.438 7.866 2.141
O -0.420 13.056 17.082
O 0.420 1.965 4.270
O -0.420 4.190 14.945
O 0.420 10.831 6.406
O 1.103 6.939 15.018
O -1.103 8.082 6.333
O 1.103 10.306 17.009
O -1.103 4.714 4.343
O -0.090 10.493 2.134
O 0.090 4.527 19.218
O -0.090 2.303 8.542
O 0.090 12.718 12.809
O -0.388 13.038 21.082
O 0.388 1.982 0.269
O -0.388 4.207 10.945
O 0.388 10.813 10.407
O -0.352 9.451 14.882
O 0.352 5.570 6.470
O -0.352 7.795 17.146
O 0.352 7.226 4.206
CELL_PARAMETERS angstrom
3.096 5.286 0.000
-3.096 5.286 0.000
0.000 4.449 21.352
```

Results
The calculation puts the formation energy from the elements at -1.89 eV/atom. The calculated total energy is -0.2323 hartree per atom. Its space-group type is No. 15.

=====

No. 3
Here is an optimized crystal structure of VNi5B2O10 from the Materials Project database. Energies are from PBE with a Hubbard U. Values from VASP.

Cell and atoms, written as Quantum ESPRESSO input:
```
&SYSTEM
  ibrav = 0, nat = 36, ntyp = 4
/
ATOMIC_SPECIES
V 50.94 V.upf
Ni 58.69 Ni.upf
B 10.81 B.upf
O 16.00 O.upf
ATOMIC_POSITIONS angstrom
V 2.372 7.600 0.000
V 2.255 1.418 0.000
Ni 4.672 6.140 1.510
Ni 9.209 12.322 1.510
Ni 4.724 2.717 1.510
Ni 4.643 9.685 1.510
Ni 9.239 3.503 1.510
Ni 9.158 8.898 1.510
Ni 9.177 6.161 0.000
Ni 4.705 12.343 0.000
Ni 6.861 4.762 0.000
Ni 7.021 10.944 0.000
B 7.222 1.720 0.000
B 2.091 10.645 0.000
B 2.536 4.464 0.000
B 6.659 7.902 0.000
O 5.822 1.734 0.000
O 3.469 10.623 0.000
O 1.158 4.441 0.000
O 8.060 7.915 0.000
O 5.969 6.701 0.000
O 3.230 5.675 0.000
O 1.397 11.856 0.000
O 7.913 0.520 0.000
O 7.919 2.916 0.000
O 1.389 9.438 0.000
O 3.238 3.256 0.000
O 5.963 9.097 0.000
O 8.214 5.220 1.510
O 1.088 7.168 1.510
O 3.539 0.987 1.510
O 5.668 11.401 1.510
O 5.648 4.412 1.510
O 3.545 7.953 1.510
O 1.082 1.771 1.510
O 8.234 10.593 1.510
CELL_PARAMETERS angstrom
0.000 0.000 3.021
9.254 0.000 0.000
0.000 12.363 0.000
```

Results
The calculation puts the formation energy from the elements at -1.88 eV/atom. The calculated total energy is -0.2313 hartree per atom. Its space-group type is No. 26.

=====

No. 4
Here is an optimized crystal structure of ZrNi5B2O10 from the Materials Project database. Energies are from PBE with a Hubbard U. Values from VASP.

Cell and atoms, written as Quantum ESPRESSO input:
```
&SYSTEM
  ibrav = 0, nat = 36, ntyp = 4
/
ATOMIC_SPECIES
Zr 91.22 Zr.upf
Ni 58.69 Ni.upf
B 10.81 B.upf
O 16.00 O.upf
ATOMIC_POSITIONS angstrom
Zr 2.007 -3.235 6.697
Zr 2.969 -8.322 -3.094
Ni -0.044 -3.797 1.378
Ni 1.757 -6.641 7.599
Ni 1.400 -7.800 0.028
Ni 2.777 -9.972 4.806
Ni 0.838 -5.192 4.411
Ni 3.669 -11.398 7.822
Ni 3.516 -8.264 2.184
Ni 3.894 -7.166 9.722
Ni 2.511 -5.767 2.053
Ni 4.184 -8.524 7.412
B 1.837 -4.845 -0.797
B 5.322 -12.019 5.108
B 1.220 -2.030 3.836
B 3.293 -6.957 4.927
O 1.444 -3.673 -0.127
O 3.070 -5.332 8.831
O 3.446 -8.676 0.025
O 3.690 -8.135 4.269
O 2.789 -5.884 4.200
O 1.727 -3.109 4.564
O 5.436 -11.927 6.499
O 1.723 -4.934 -2.180
O 0.632 -5.199 2.483
O 1.010 -5.042 6.563
O 1.246 -7.967 -2.006
O 2.982 -9.970 6.704
O 2.339 -5.909 -0.064
O 4.808 -10.914 4.412
O 1.121 -2.159 2.442
O 3.411 -6.879 6.305
O 1.587 -7.743 1.976
O 2.673 -10.296 2.643
O -0.857 -2.011 0.407
O 2.458 -8.113 8.683
CELL_PARAMETERS angstrom
-2.907 -1.154 0.314
2.626 -7.816 -4.416
3.209 -5.107 10.948
```

Results
The calculation puts the formation energy from the elements at -2.06 eV/atom. The calculated total energy is -0.2406 hartree per atom. Its space-group type is No. 26.

=====

No. 5
Here is an optimized crystal structure of B2Pb6WO12 from the Materials Project database. Energies are from PBE with a Hubbard U. Values from VASP.

Cell and atoms, written as Quantum ESPRESSO input:
```
&SYSTEM
  ibrav = 0, nat = 42, ntyp = 4
/
ATOMIC_SPECIES
B 10.81 B.upf
Pb 207.20 Pb.upf
W 183.84 W.upf
O 16.00 O.upf
ATOMIC_POSITIONS angstrom
B 3.246 -4.655 6.019
B 3.246 -4.655 0.000
B 3.246 4.655 6.019
B 3.246 4.655 0.000
Pb 1.989 -3.927 3.009
Pb 4.502 -3.927 9.028
Pb 4.502 3.927 9.028
Pb 1.989 3.927 3.009
Pb 4.920 2.040 4.901
Pb 1.571 2.040 7.137
Pb 4.920 2.040 1.118
Pb 1.571 2.040 10.919
Pb 1.571 -2.040 7.137
Pb 4.920 -2.040 4.901
Pb 1.571 -2.040 10.919
Pb 4.920 -2.040 1.118
W 1.739 0.000 3.009
W 4.752 0.000 9.028
O 4.082 2.835 3.009
O 2.409 2.835 9.028
O 2.409 -2.835 9.028
O 4.082 -2.835 3.009
O 2.869 -5.332 4.870
O 3.622 -5.332 7.167
O 2.869 -5.332 1.149
O 3.622 -5.332 10.889
O 3.622 5.332 7.167
O 2.869 5.332 4.870
O 3.622 5.332 10.889
O 2.869 5.332 1.149
O 0.654 -1.473 3.009
O 5.838 -1.473 9.028
O 5.838 1.473 9.028
O 0.654 1.473 3.009
O 2.791 0.000 1.528
O 3.700 0.000 10.509
O 2.791 0.000 4.490
O 3.700 0.000 7.547
O 3.246 -3.249 6.019
O 3.246 -3.249 0.000
O 3.246 3.249 6.019
O 3.246 3.249 0.000
CELL_PARAMETERS angstrom
3.246 -9.436 0.000
3.246 9.436 0.000
0.000 0.000 12.037
```

Results
The calculation puts the formation energy from the elements at -1.99 eV/atom. The calculated total energy is -0.2399 hartree per atom. Its space-group type is No. 63.

=====

No. 6
Here is an optimized crystal structure of V5BO9 from the Materials Project database. Energies are from PBE with a Hubbard U. Values from VASP.

Cell and atoms, written as Quantum ESPRESSO input:
```
&SYSTEM
  ibrav = 0, nat = 30, ntyp = 3
/
ATOMIC_SPECIES
V 50.94 V.upf
B 10.81 B.upf
O 16.00 O.upf
ATOMIC_POSITIONS angstrom
V 1.527 -1.791 4.152
V 3.078 -3.186 6.944
V 3.078 -3.936 1.504
V 3.078 -0.929 1.629
V 4.629 -1.791 4.152
V 1.527 1.791 8.331
V 3.078 0.929 5.809
V 3.078 3.186 2.765
V 3.078 3.936 5.683
V 4.629 1.791 8.331
B 3.078 -7.750 6.054
B 3.078 7.750 1.875
O 1.207 -0.754 2.390
O 1.596 -3.003 5.807
O 3.078 -4.922 7.884
O 3.078 -7.333 0.867
O 3.078 -2.624 3.007
O 3.078 -0.717 4.760
O 3.078 -2.349 0.342
O 1.207 0.754 6.570
O 4.560 -3.003 5.807
O 1.596 3.003 1.628
O 4.949 -0.754 2.390
O 3.078 0.717 0.581
O 3.078 2.349 4.521
O 3.078 4.922 3.705
O 3.078 7.333 5.046
O 3.078 2.624 7.186
O 4.560 3.003 1.628
O 4.949 0.754 6.570
CELL_PARAMETERS angstrom
3.078 -7.998 0.000
3.078 7.998 0.000
0.000 0.000 8.358
```

Results
The calculation puts the formation energy from the elements at -2.54 eV/atom. The calculated total energy is -0.2941 hartree per atom. Its space-group type is No. 36.